No. 1
Computed, not measured: crystalline Li4SnP6O18 at its relaxed geometry at the PBE-GGA level of DFT.

Properties
**Size of the total moment**: 0.0 μB/cell
**Offset from the most stable computed form**: 0.0000 eV per atom
**Symmetry**: P1
**ΔE_f**: -59.6 kcal/mol of atoms

a = 7.304 Å, b = 7.494 Å, c = 7.586 Å
α = 113.77°, β = 104.85°, γ = 97.95°
Element x y z (fractional)
1 Li 0.000 0.000 0.000
2 Li 0.000 0.361 0.291
3 Li 0.354 0.140 0.398
4 Li 0.710 0.268 0.853
5 Sn 0.774 0.837 0.463
6 P 0.082 0.313 0.736
7 P 0.084 0.649 0.098
8 P 0.347 0.406 0.139
9 P 0.358 0.866 0.667
10 P 0.611 0.988 0.081
11 P 0.614 0.626 0.747
12 O 0.064 0.540 0.855
13 O 0.099 0.277 0.534
14 O 0.108 0.870 0.162
15 O 0.142 0.827 0.571
16 O 0.212 0.270 0.183
17 O 0.288 0.321 0.891
18 O 0.295 0.623 0.203
19 O 0.408 0.967 0.915
20 O 0.409 0.649 0.624
21 O 0.505 0.987 0.620
22 O 0.564 0.450 0.233
23 O 0.576 0.035 0.278
24 O 0.591 0.408 0.692
25 O 0.626 0.753 0.983
26 O 0.782 0.117 0.072
27 O 0.785 0.746 0.722
28 O 0.919 0.165 0.742
29 O 0.925 0.524 0.126

=====

No. 2
Computed, not measured: crystalline LuMgPd2 at its relaxed geometry at the PBE-GGA level of DFT.

Properties
**Symmetry**: Fm-3m
**ΔE_f**: -20.0 kcal/mol of atoms

a = 4.714 Å, b = 4.714 Å, c = 4.714 Å
α = 60.00°, β = 60.00°, γ = 60.00°
Element x y z (fractional)
1 Lu 0.000 0.000 0.000
2 Mg 0.500 0.500 0.500
3 Pd 0.250 0.250 0.250
4 Pd 0.750 0.750 0.750

=====

No. 3
Computed, not measured: crystalline LiUPO6 at its relaxed geometry at the PBE-GGA level of DFT.

Properties
**Size of the total moment**: 0.0 μB/cell
**Symmetry**: P-1
**ΔE_f**: -72.1 kcal/mol of atoms

a = 5.123 Å, b = 10.074 Å, c = 10.972 Å
α = 64.33°, β = 77.07°, γ = 77.29°
Element x y z (fractional)
1 Li 0.053 0.383 0.264
2 Li 0.065 0.907 0.195
3 Li 0.935 0.093 0.805
4 Li 0.947 0.617 0.736
5 U 0.010 0.721 0.016
6 U 0.491 0.793 0.479
7 U 0.509 0.207 0.521
8 U 0.990 0.279 0.984
9 P 0.423 0.111 0.235
10 P 0.446 0.585 0.279
11 P 0.554 0.415 0.721
12 P 0.577 0.889 0.765
13 O 0.158 0.766 0.582
14 O 0.175 0.183 0.621
15 O 0.185 0.109 0.970
16 O 0.215 0.244 0.161
17 O 0.221 0.554 0.010
18 O 0.258 0.432 0.796
19 O 0.258 0.703 0.175
20 O 0.292 0.874 0.851
21 O 0.334 0.960 0.266
22 O 0.340 0.432 0.344
23 O 0.434 0.102 0.379
24 O 0.440 0.642 0.389
25 O 0.560 0.358 0.611
26 O 0.566 0.898 0.621
27 O 0.660 0.568 0.656
28 O 0.666 0.040 0.734
29 O 0.708 0.126 0.149
30 O 0.742 0.297 0.825
31 O 0.742 0.568 0.204
32 O 0.779 0.446 0.990
33 O 0.785 0.756 0.839
34 O 0.815 0.891 0.030
35 O 0.825 0.817 0.379
36 O 0.842 0.234 0.418

=====

No. 4
Computed, not measured: crystalline Zr2N2O at its relaxed geometry at the PBE-GGA level of DFT.

Properties
**Size of the total moment**: 0.0 μB/cell
**Symmetry**: Pnma
**ΔE_f**: -48.5 kcal/mol of atoms

a = 13.841 Å, b = 3.124 Å, c = 5.576 Å
α = 90.00°, β = 90.00°, γ = 90.00°
Element x y z (fractional)
1 Zr 0.080 0.250 0.197
2 Zr 0.196 0.250 0.712
3 Zr 0.304 0.750 0.212
4 Zr 0.420 0.750 0.697
5 Zr 0.580 0.250 0.303
6 Zr 0.696 0.250 0.788
7 Zr 0.804 0.750 0.288
8 Zr 0.920 0.750 0.803
9 N 0.153 0.750 0.442
10 N 0.171 0.750 0.988
11 N 0.329 0.250 0.488
12 N 0.347 0.250 0.942
13 N 0.653 0.750 0.058
14 N 0.671 0.750 0.512
15 N 0.829 0.250 0.012
16 N 0.847 0.250 0.558
17 O 0.027 0.250 0.805
18 O 0.473 0.750 0.305
19 O 0.527 0.250 0.695
20 O 0.973 0.750 0.195

=====

- Among the records above, which one has the lowest ΔE_f?
  LiUPO6

=====

- Which of these has the lowest ΔE_f?
  LiUPO6

=====

- Among the records above, which one has the highest ΔE_f?
  LuMgPd2

=====

- Which of these has the lowest ΔE_f?
  LiUPO6